{
  "formula": "Na7Ti2In2Si3P3O24",
  "functional": "PBE",
  "state": "relaxed",
  "sg": "P1",
  "e_form_ev_per_atom": -2.769,
  "lattice_angstrom": [[-5.258, 5.980, -4.348], [-3.284, -8.167, 2.207], [-6.951, 8.041, 19.462]],
  "species": ["Na", "Na", "Na", "Na", "Na", "Na", "Na", "Na", "Na", "Na", "Na", "Na", "Na", "Na", "Na", "Na", "Na", "Na", "Na", "Na", "Na", "Ti", "Ti", "Ti", "Ti", "Ti", "Ti", "In", "In", "In", "In", "In", "In", "Si", "Si", "Si", "Si", "Si", "Si", "Si", "Si", "Si", "P", "P", "P", "P", "P", "P", "P", "P", "P", "O", "O", "O", "O", "O", "O", "O", "O", "O", "O", "O", "O", "O", "O", "O", "O", "O", "O", "O", "O", "O", "O", "O", "O", "O", "O", "O", "O", "O", "O", "O", "O", "O", "O", "O", "O", "O", "O", "O", "O", "O", "O", "O", "O", "O", "O", "O", "O", "O", "O", "O", "O", "O", "O", "O", "O", "O", "O", "O", "O", "O", "O", "O", "O", "O", "O", "O", "O", "O", "O", "O", "O"],
  "frac_coords": [[0.628, 0.002, 0.253], [0.371, 0.374, 0.249], [0.001, 0.621, 0.250], [0.631, 0.632, 0.749], [0.990, 0.364, 0.748], [0.375, 0.002, 0.745], [0.030, 0.694, 0.584], [0.659, 0.966, 0.583], [0.670, 0.692, 0.083], [0.027, 0.338, 0.086], [0.958, 0.663, 0.921], [0.703, 0.034, 0.916], [0.342, 0.304, 0.919], [0.971, 0.309, 0.416], [0.336, 0.033, 0.417], [0.002, 0.999, 0.500], [0.010, 0.994, 0.003], [0.667, 0.333, 0.833], [0.673, 0.347, 0.338], [0.326, 0.671, 0.165], [0.334, 0.657, 0.662], [0.987, 0.995, 0.357], [0.001, 0.008, 0.644], [0.012, 0.007, 0.146], [0.668, 0.329, 0.484], [0.336, 0.667, 0.020], [0.330, 0.671, 0.515], [0.995, 0.998, 0.852], [0.668, 0.331, 0.677], [0.672, 0.336, 0.182], [0.664, 0.337, 0.989], [0.328, 0.662, 0.319], [0.337, 0.669, 0.814], [0.999, 0.287, 0.251], [0.707, 0.003, 0.749], [0.971, 0.337, 0.583], [0.366, 0.034, 0.582], [0.976, 0.642, 0.084], [0.364, 0.333, 0.084], [0.627, 0.663, 0.917], [0.627, 0.963, 0.417], [0.029, 0.665, 0.416], [0.284, 0.002, 0.252], [0.717, 0.718, 0.250], [0.289, 0.288, 0.749], [0.998, 0.707, 0.748], [0.662, 0.627, 0.583], [0.666, 0.028, 0.084], [0.043, 0.376, 0.918], [0.336, 0.959, 0.917], [0.338, 0.373, 0.417], [0.197, 0.017, 0.309], [0.828, 0.812, 0.306], [0.984, 0.169, 0.310], [0.222, 0.189, 0.809], [0.977, 0.782, 0.809], [0.814, 0.037, 0.811], [0.817, 0.984, 0.691], [0.170, 0.182, 0.696], [0.019, 0.823, 0.693], [0.803, 0.819, 0.193], [0.013, 0.184, 0.192], [0.173, 0.985, 0.196], [0.909, 0.391, 0.643], [0.481, 0.098, 0.643], [0.633, 0.534, 0.644], [0.905, 0.514, 0.143], [0.632, 0.104, 0.141], [0.489, 0.384, 0.142], [0.433, 0.291, 0.023], [0.851, 0.568, 0.026], [0.707, 0.145, 0.029], [0.469, 0.161, 0.526], [0.692, 0.526, 0.533], [0.832, 0.300, 0.528], [0.518, 0.681, 0.973], [0.156, 0.476, 0.972], [0.315, 0.837, 0.969], [0.529, 0.838, 0.474], [0.307, 0.473, 0.467], [0.167, 0.698, 0.471], [0.092, 0.610, 0.355], [0.514, 0.896, 0.355], [0.370, 0.467, 0.355], [0.111, 0.478, 0.858], [0.358, 0.889, 0.856], [0.520, 0.630, 0.854], [0.029, 0.845, 0.411], [0.821, 0.988, 0.412], [0.172, 0.193, 0.414], [0.040, 0.204, 0.918], [0.174, 0.976, 0.917], [0.813, 0.839, 0.920], [0.974, 0.157, 0.589], [0.173, 0.006, 0.589], [0.830, 0.806, 0.586], [0.985, 0.825, 0.095], [0.824, 0.007, 0.091], [0.169, 0.172, 0.092], [0.685, 0.171, 0.745], [0.470, 0.317, 0.742], [0.835, 0.531, 0.745], [0.701, 0.539, 0.251], [0.824, 0.298, 0.251], [0.462, 0.165, 0.248], [0.650, 0.496, 0.919], [0.860, 0.346, 0.924], [0.499, 0.134, 0.923], [0.652, 0.155, 0.426], [0.489, 0.343, 0.427], [0.844, 0.498, 0.430], [0.342, 0.503, 0.075], [0.163, 0.660, 0.073], [0.510, 0.848, 0.076], [0.346, 0.843, 0.572], [0.512, 0.657, 0.573], [0.157, 0.502, 0.569], [0.301, 0.839, 0.251], [0.539, 0.703, 0.253], [0.174, 0.473, 0.250], [0.289, 0.459, 0.748], [0.160, 0.689, 0.749], [0.522, 0.826, 0.746]]
}

---

{
  "formula": "K5NaS4Cl2O12",
  "functional": "PBE",
  "state": "relaxed",
  "sg": "P4/mnc",
  "e_form_ev_per_atom": -2.043,
  "lattice_angstrom": [[-4.210, -7.630, -0.689], [0.210, -0.900, 8.693], [-10.315, 5.616, 0.830]],
  "species": ["K", "K", "K", "K", "K", "K", "K", "K", "K", "K", "Na", "Na", "S", "S", "S", "S", "S", "S", "S", "S", "Cl", "Cl", "Cl", "Cl", "O", "O", "O", "O", "O", "O", "O", "O", "O", "O", "O", "O", "O", "O", "O", "O", "O", "O", "O", "O", "O", "O", "O", "O"],
  "frac_coords": [[0.000, 0.000, 0.500], [0.500, 0.500, 0.000], [0.812, 0.688, 0.250], [0.188, 0.312, 0.250], [0.688, 0.188, 0.750], [0.312, 0.812, 0.750], [0.688, 0.188, 0.250], [0.312, 0.812, 0.250], [0.188, 0.312, 0.750], [0.812, 0.688, 0.750], [0.500, 0.500, 0.500], [0.000, 0.000, 0.000], [0.575, 0.900, 0.500], [0.425, 0.100, 0.500], [0.925, 0.400, 0.000], [0.075, 0.600, 0.000], [0.900, 0.425, 0.500], [0.100, 0.575, 0.500], [0.400, 0.075, 0.000], [0.600, 0.925, 0.000], [0.500, 0.500, 0.264], [0.000, 0.000, 0.764], [0.500, 0.500, 0.736], [0.000, 0.000, 0.236], [0.771, 0.533, 0.500], [0.229, 0.467, 0.500], [0.729, 0.033, 0.000], [0.271, 0.967, 0.000], [0.533, 0.229, 0.500], [0.467, 0.771, 0.500], [0.033, 0.271, 0.000], [0.967, 0.729, 0.000], [0.085, 0.666, 0.395], [0.915, 0.334, 0.395], [0.415, 0.166, 0.895], [0.585, 0.834, 0.895], [0.666, 0.915, 0.395], [0.334, 0.085, 0.395], [0.166, 0.585, 0.895], [0.834, 0.415, 0.895], [0.915, 0.334, 0.605], [0.085, 0.666, 0.605], [0.585, 0.834, 0.105], [0.415, 0.166, 0.105], [0.334, 0.085, 0.605], [0.666, 0.915, 0.605], [0.834, 0.415, 0.105], [0.166, 0.585, 0.105]]
}

---

{
  "formula": "Ca3Mn2N4",
  "functional": "PBE",
  "state": "relaxed",
  "sg": "Pnna",
  "polymorph_energy_ev_per_atom": 0.0000,
  "e_form_ev_per_atom": -0.904,
  "lattice_angstrom": [[5.641, 0.000, 0.000], [0.000, 9.621, 0.000], [0.000, 0.000, 9.059]],
  "species": ["Ca", "Ca", "Ca", "Ca", "Ca", "Ca", "Ca", "Ca", "Ca", "Ca", "Ca", "Ca", "Mn", "Mn", "Mn", "Mn", "Mn", "Mn", "Mn", "Mn", "N", "N", "N", "N", "N", "N", "N", "N", "N", "N", "N", "N", "N", "N", "N", "N"],
  "frac_coords": [[0.617, 0.156, 0.417], [0.883, 0.844, 0.417], [0.617, 0.344, 0.083], [0.883, 0.656, 0.083], [0.383, 0.844, 0.583], [0.117, 0.156, 0.583], [0.383, 0.656, 0.917], [0.117, 0.344, 0.917], [0.750, 0.500, 0.403], [0.750, 0.000, 0.097], [0.250, 0.500, 0.597], [0.250, 0.000, 0.903], [0.750, 0.500, 0.734], [0.750, 0.000, 0.766], [0.250, 0.500, 0.266], [0.250, 0.000, 0.234], [0.652, 0.250, 0.750], [0.848, 0.750, 0.750], [0.348, 0.750, 0.250], [0.152, 0.250, 0.250], [0.878, 0.358, 0.624], [0.622, 0.642, 0.624], [0.878, 0.142, 0.876], [0.622, 0.858, 0.876], [0.122, 0.642, 0.376], [0.378, 0.358, 0.376], [0.122, 0.858, 0.124], [0.378, 0.142, 0.124], [0.505, 0.415, 0.836], [0.995, 0.585, 0.836], [0.505, 0.085, 0.664], [0.995, 0.915, 0.664], [0.495, 0.585, 0.164], [0.005, 0.415, 0.164], [0.495, 0.915, 0.336], [0.005, 0.085, 0.336]]
}

---

{
  "formula": "K6Al32O51",
  "functional": "PBE",
  "state": "relaxed",
  "sg": "Cm",
  "e_form_ev_per_atom": -3.251,
  "lattice_angstrom": [[0.087, 1.360, -9.740], [6.985, -5.453, 4.266], [-4.169, -10.802, -3.202]],
  "species": ["K", "K", "K", "K", "K", "K", "Al", "Al", "Al", "Al", "Al", "Al", "Al", "Al", "Al", "Al", "Al", "Al", "Al", "Al", "Al", "Al", "Al", "Al", "Al", "Al", "Al", "Al", "Al", "Al", "Al", "Al", "Al", "Al", "Al", "Al", "Al", "Al", "O", "O", "O", "O", "O", "O", "O", "O", "O", "O", "O", "O", "O", "O", "O", "O", "O", "O", "O", "O", "O", "O", "O", "O", "O", "O", "O", "O", "O", "O", "O", "O", "O", "O", "O", "O", "O", "O", "O", "O", "O", "O", "O", "O", "O", "O", "O", "O", "O", "O", "O"],
  "frac_coords": [[0.812, 0.812, 0.513], [0.818, 0.509, 0.474], [0.496, 0.180, 0.512], [0.509, 0.818, 0.474], [0.199, 0.199, 0.474], [0.180, 0.496, 0.512], [0.999, 0.999, 0.002], [0.901, 0.901, 0.793], [0.904, 0.403, 0.791], [0.735, 0.570, 0.796], [0.666, 0.333, 0.002], [0.982, 0.316, 0.052], [0.884, 0.218, 0.347], [0.782, 0.115, 0.652], [0.683, 0.018, 0.950], [0.925, 0.759, 0.213], [0.759, 0.925, 0.213], [0.762, 0.433, 0.213], [0.569, 0.235, 0.794], [0.570, 0.735, 0.796], [0.403, 0.904, 0.791], [0.646, 0.646, 0.063], [0.349, 0.349, 0.950], [0.448, 0.448, 0.658], [0.333, 0.666, 0.002], [0.597, 0.095, 0.207], [0.429, 0.266, 0.213], [0.235, 0.569, 0.794], [0.433, 0.762, 0.213], [0.235, 0.068, 0.794], [0.068, 0.235, 0.794], [0.316, 0.982, 0.052], [0.115, 0.782, 0.652], [0.018, 0.683, 0.950], [0.218, 0.884, 0.347], [0.266, 0.429, 0.213], [0.095, 0.597, 0.207], [0.100, 0.100, 0.207], [0.933, 0.266, 0.710], [0.926, 0.763, 0.711], [0.877, 0.034, 0.900], [0.857, 0.524, 0.900], [0.704, 0.704, 0.896], [0.911, 0.911, 0.280], [0.973, 0.632, 0.104], [0.760, 0.428, 0.720], [0.833, 0.166, 0.500], [0.763, 0.926, 0.711], [0.967, 0.124, 0.098], [0.906, 0.405, 0.288], [0.700, 0.211, 0.899], [0.597, 0.597, 0.720], [0.814, 0.814, 0.098], [0.755, 0.572, 0.284], [0.543, 0.365, 0.902], [0.594, 0.097, 0.710], [0.791, 0.301, 0.098], [0.524, 0.857, 0.900], [0.736, 0.072, 0.288], [0.496, 0.496, 0.514], [0.573, 0.236, 0.280], [0.428, 0.760, 0.720], [0.369, 0.033, 0.892], [0.632, 0.973, 0.104], [0.427, 0.257, 0.719], [0.635, 0.455, 0.098], [0.365, 0.543, 0.902], [0.572, 0.755, 0.284], [0.477, 0.144, 0.098], [0.266, 0.933, 0.710], [0.211, 0.700, 0.899], [0.455, 0.635, 0.098], [0.405, 0.906, 0.288], [0.257, 0.427, 0.719], [0.188, 0.188, 0.901], [0.389, 0.389, 0.284], [0.093, 0.093, 0.720], [0.291, 0.291, 0.104], [0.166, 0.833, 0.500], [0.033, 0.369, 0.892], [0.236, 0.573, 0.280], [0.034, 0.877, 0.900], [0.301, 0.791, 0.098], [0.235, 0.070, 0.288], [0.097, 0.594, 0.710], [0.144, 0.477, 0.098], [0.124, 0.967, 0.098], [0.070, 0.235, 0.288], [0.072, 0.736, 0.288]]
}